VASP calculation (PBE with a Hubbard U) on LiCrPO4F after structural relaxation.

Geometry as extended XYZ:
```
64
Lattice="12.7075 0.0000 0.0000 0.0000 6.2967 0.0000 0.0000 0.0000 10.5757" Properties=species:S:1:pos:R:3 pbc="T T T"
Li 1.2544 0.5824 0.0000
Li 1.7918 5.0732 2.5683
Li 4.5620 1.9249 7.8561
Li 5.0993 3.7307 5.2878
Li 7.6082 2.5660 0.0000
Li 8.1455 4.3719 2.5683
Li 10.9158 1.2235 7.8561
Li 11.4531 5.7143 5.2878
Cr 1.5142 0.0222 5.7325
Cr 3.1186 4.7699 8.4202
Cr 3.2351 1.6215 3.1324
Cr 4.8395 3.1706 0.4447
Cr 7.8680 3.1261 5.7325
Cr 9.4724 4.6752 8.4202
Cr 9.5889 1.5268 3.1324
Cr 11.1933 6.2745 0.4447
P 0.0944 1.0688 2.9977
P 2.3817 3.1378 5.7816
P 3.9721 6.2861 0.4938
P 6.2594 4.2172 8.2855
P 6.4481 2.0795 2.9977
P 8.7355 0.0106 5.7816
P 10.3259 3.1589 0.4938
P 12.6132 5.2279 8.2855
O 0.0914 0.2008 1.6734
O 0.2635 6.2925 4.1409
O 1.1825 4.4254 8.4730
O 1.2944 2.0261 2.9682
O 1.4405 1.9545 5.9849
O 1.5311 4.3715 5.4882
O 2.9323 6.0705 9.9145
O 3.0124 0.1964 1.7242
O 3.3413 3.3447 7.0121
O 3.4215 2.9221 4.6267
O 4.8226 1.2231 0.2004
O 4.9133 5.1029 0.6970
O 5.0594 5.1744 8.2561
O 5.1713 1.2770 3.1852
O 6.0903 3.1441 9.4288
O 6.2623 3.3492 6.9613
O 6.4452 2.9476 1.6734
O 6.6172 3.1526 4.1409
O 7.5362 5.0197 8.4730
O 7.6482 1.1223 2.9682
O 7.7942 1.1939 5.9849
O 7.8849 5.0736 5.4882
O 9.2860 3.3746 9.9145
O 9.3662 2.9520 1.7242
O 9.6951 6.1004 7.0121
O 9.7753 0.2262 4.6267
O 11.1764 1.9253 0.2004
O 11.2671 4.3422 0.6970
O 11.4131 4.2707 8.2561
O 11.5251 1.8713 3.1852
O 12.4441 0.0042 9.4288
O 12.6161 6.0959 6.9613
F 2.8964 6.2758 7.1584
F 2.9808 0.1291 4.4062
F 3.3730 3.2774 9.6940
F 3.4574 3.1274 1.8705
F 9.2502 3.1693 7.1584
F 9.3345 3.0193 4.4062
F 9.7268 6.1677 9.6940
F 9.8111 0.0209 1.8705
```

Summary:
total DFT energy (no corrections) = -440.78 eV for the cell shown
crystal system = orthorhombic
space group = Pna2_1
volume = 846.2 Å³ per cell
calculated formation energy = -21.62 eV per formula unit